{"formula": "NaNi2P2O9", "functional": "GGA+U", "state": "optimized geometry", "lattice": [[14.1292, 0.0000, 0.0000], [0.0000, 6.3738, 0.0000], [0.0000, 0.0000, 7.3492]], "species": ["Na", "Na", "Na", "Na", "Ni", "Ni", "Ni", "Ni", "Ni", "Ni", "Ni", "Ni", "P", "P", "P", "P", "P", "P", "P", "P", "O", "O", "O", "O", "O", "O", "O", "O", "O", "O", "O", "O", "O", "O", "O", "O", "O", "O", "O", "O", "O", "O", "O", "O", "O", "O", "O", "O", "O", "O", "O", "O", "O", "O", "O", "O"], "fractional_positions": [[0.2173, 0.2500, 0.1112], [0.2827, 0.7500, 0.6112], [0.7173, 0.2500, 0.3888], [0.7827, 0.7500, 0.8888], [0.0000, 0.0000, 0.0000], [0.0000, 0.5000, 0.0000], [0.1257, 0.2500, 0.6438], [0.3743, 0.7500, 0.1438], [0.5000, 0.0000, 0.5000], [0.5000, 0.5000, 0.5000], [0.6257, 0.2500, 0.8562], [0.8743, 0.7500, 0.3562], [0.0629, 0.7500, 0.6339], [0.1895, 0.7500, 0.0994], [0.3105, 0.2500, 0.5994], [0.4371, 0.2500, 0.1339], [0.5629, 0.7500, 0.8661], [0.6895, 0.7500, 0.4006], [0.8105, 0.2500, 0.9006], [0.9371, 0.2500, 0.3661], [0.0043, 0.2500, 0.5278], [0.0109, 0.7500, 0.8195], [0.0499, 0.2500, 0.8629], [0.1292, 0.5507, 0.0938], [0.1292, 0.9493, 0.0938], [0.1325, 0.5632, 0.6240], [0.1325, 0.9368, 0.6240], [0.2296, 0.2500, 0.4531], [0.2463, 0.2500, 0.7744], [0.2537, 0.7500, 0.2744], [0.2704, 0.7500, 0.9531], [0.3675, 0.0632, 0.1240], [0.3675, 0.4368, 0.1240], [0.3708, 0.0507, 0.5938], [0.3708, 0.4493, 0.5938], [0.4501, 0.7500, 0.3629], [0.4891, 0.2500, 0.3195], [0.4957, 0.7500, 0.0278], [0.5043, 0.2500, 0.9722], [0.5109, 0.7500, 0.6805], [0.5499, 0.2500, 0.6371], [0.6292, 0.5507, 0.4062], [0.6292, 0.9493, 0.4062], [0.6325, 0.5632, 0.8760], [0.6325, 0.9368, 0.8760], [0.7296, 0.2500, 0.0469], [0.7463, 0.2500, 0.7256], [0.7537, 0.7500, 0.2256], [0.7704, 0.7500, 0.5469], [0.8675, 0.0632, 0.3760], [0.8675, 0.4368, 0.3760], [0.8708, 0.0507, 0.9062], [0.8708, 0.4493, 0.9062], [0.9501, 0.7500, 0.1371], [0.9891, 0.2500, 0.1805], [0.9957, 0.7500, 0.4722]], "energy_corrected_mp2020_ev_per_atom": -6.783, "formation_enthalpy_0k_kj_per_mol_fu": -2579, "dft_energy_ev_per_atom": -5.979}



{"formula": "Li4Mn5O9F", "functional": "GGA+U", "state": "optimized geometry", "lattice": [[5.1700, 0.0000, 0.0000], [-1.1583, 5.2768, 0.0000], [-1.8108, -2.6057, 7.2194]], "species": ["Li", "Li", "Li", "Li", "Mn", "Mn", "Mn", "Mn", "Mn", "O", "O", "O", "O", "O", "O", "O", "O", "O", "F"], "fractional_positions": [[0.0000, 0.0000, 0.0000], [0.1838, 0.3903, 0.3875], [0.3988, 0.7712, 0.7758], [0.7816, 0.5456, 0.5588], [0.0784, 0.1757, 0.6806], [0.2956, 0.5700, 0.0886], [0.4879, 0.9846, 0.4762], [0.6764, 0.3754, 0.8877], [0.8882, 0.7686, 0.2835], [0.1506, 0.7949, 0.5187], [0.2265, 0.9256, 0.2287], [0.2906, 0.2169, 0.9245], [0.4238, 0.3790, 0.6526], [0.5656, 0.6159, 0.3482], [0.6406, 0.7229, 0.0343], [0.7252, 0.0415, 0.7356], [0.8405, 0.1784, 0.4542], [0.9522, 0.3861, 0.1097], [0.0357, 0.6359, 0.8205]], "energy_corrected_mp2020_ev_per_atom": -7.423, "formation_enthalpy_0k_kj_per_mol_fu": -3970, "dft_energy_ev_per_atom": -6.635}



{"formula": "LiCo3OF5", "functional": "GGA+U", "state": "optimized geometry", "lattice": [[8.4026, 0.0000, 0.0000], [-2.7852, 7.9772, 0.0000], [-2.7715, -3.8884, 6.9709]], "species": ["Li", "Li", "Li", "Li", "Co", "Co", "Co", "Co", "Co", "Co", "Co", "Co", "Co", "Co", "Co", "Co", "O", "O", "O", "O", "F", "F", "F", "F", "F", "F", "F", "F", "F", "F", "F", "F", "F", "F", "F", "F", "F", "F", "F", "F"], "fractional_positions": [[0.0000, 0.0000, 0.0000], [0.0392, 0.5187, 0.5273], [0.5098, 0.0153, 0.4999], [0.5526, 0.5451, 0.0527], [0.0327, 0.7698, 0.3053], [0.2420, 0.4856, 0.2934], [0.2815, 0.3184, 0.5658], [0.2816, 0.8130, 0.0645], [0.3044, 0.0500, 0.7687], [0.4878, 0.2496, 0.2436], [0.5497, 0.7513, 0.7776], [0.7276, 0.9754, 0.2717], [0.7687, 0.2348, 0.9908], [0.7732, 0.7429, 0.4988], [0.8069, 0.5659, 0.7641], [0.9824, 0.2697, 0.7404], [0.2982, 0.5502, 0.5575], [0.5198, 0.0440, 0.2739], [0.7762, 0.7757, 0.7380], [0.7980, 0.7732, 0.2831], [0.0196, 0.7863, 0.0652], [0.0315, 0.2635, 0.9944], [0.0689, 0.5571, 0.8039], [0.0779, 0.7861, 0.5770], [0.2340, 0.0087, 0.9619], [0.2341, 0.2681, 0.7842], [0.2458, 0.2224, 0.2861], [0.2788, 0.7372, 0.2906], [0.2849, 0.0594, 0.5172], [0.4631, 0.7244, 0.9897], [0.4702, 0.5020, 0.2519], [0.5165, 0.9858, 0.7508], [0.5581, 0.2842, 0.0257], [0.5675, 0.4926, 0.8033], [0.7550, 0.0023, 0.5595], [0.7553, 0.4611, 0.4756], [0.7610, 0.3089, 0.7764], [0.7835, 0.0265, 0.0606], [0.9636, 0.4766, 0.2445], [0.9749, 0.2404, 0.4799]], "energy_corrected_mp2020_ev_per_atom": -5.988, "relative_energy_kj_per_mol_atoms": 0.4, "formation_enthalpy_0k_kj_per_mol_fu": -2135, "dft_energy_ev_per_atom": -5.197}



{"formula": "LiMnF4", "functional": "GGA+U", "state": "optimized geometry", "lattice": [[2.9579, -4.0835, 0.0000], [2.9579, 4.0835, 0.0000], [0.0000, 0.0000, 6.4315]], "species": ["Li", "Li", "Mn", "Mn", "F", "F", "F", "F", "F", "F", "F", "F"], "fractional_positions": [[0.1366, 0.8634, 0.7500], [0.8634, 0.1366, 0.2500], [0.5000, 0.5000, 0.0000], [0.5000, 0.5000, 0.5000], [0.2649, 0.2923, 0.2500], [0.2763, 0.7237, 0.5189], [0.2763, 0.7237, 0.9811], [0.2923, 0.2649, 0.7500], [0.7077, 0.7351, 0.2500], [0.7237, 0.2763, 0.0189], [0.7237, 0.2763, 0.4811], [0.7351, 0.7077, 0.7500]], "energy_corrected_mp2020_ev_per_atom": -6.008, "formation_enthalpy_0k_kj_per_mol_fu": -1671, "dft_energy_ev_per_atom": -5.422}



{"formula": "Li4VCr3O8", "functional": "GGA+U", "state": "optimized geometry", "lattice": [[5.1341, 0.0000, 0.0000], [2.5643, 7.4404, 0.0000], [0.8657, 0.8485, 7.7762]], "species": ["Li", "Li", "Li", "Li", "Li", "Li", "Li", "Li", "V", "V", "Cr", "Cr", "Cr", "Cr", "Cr", "Cr", "O", "O", "O", "O", "O", "O", "O", "O", "O", "O", "O", "O", "O", "O", "O", "O"], "fractional_positions": [[0.0011, 0.0618, 0.3129], [0.0009, 0.4381, 0.1862], [0.0009, 0.8120, 0.0624], [0.0023, 0.3094, 0.5650], [0.9977, 0.6906, 0.4350], [0.9991, 0.1880, 0.9376], [0.9991, 0.5619, 0.8138], [0.9989, 0.9382, 0.6871], [0.5000, 0.3765, 0.3765], [0.5000, 0.6235, 0.6235], [0.5000, 0.0000, 0.5000], [0.5000, 0.1255, 0.1255], [0.5000, 0.2482, 0.7519], [0.5000, 0.5000, 0.0000], [0.5000, 0.7518, 0.2481], [0.5000, 0.8745, 0.8745], [0.2689, 0.4620, 0.5958], [0.2729, 0.5921, 0.2162], [0.2728, 0.8403, 0.4647], [0.2751, 0.0867, 0.7185], [0.2746, 0.2135, 0.3441], [0.2746, 0.3379, 0.9696], [0.2747, 0.7123, 0.8427], [0.2754, 0.9642, 0.0919], [0.7246, 0.0358, 0.9081], [0.7253, 0.2877, 0.1573], [0.7254, 0.6621, 0.0304], [0.7254, 0.7865, 0.6559], [0.7249, 0.9133, 0.2815], [0.7272, 0.1597, 0.5353], [0.7271, 0.4079, 0.7838], [0.7311, 0.5380, 0.4042]], "energy_corrected_mp2020_ev_per_atom": -7.749, "relative_energy_kj_per_mol_atoms": 0.6, "formation_enthalpy_0k_kj_per_mol_fu": -3736, "dft_energy_ev_per_atom": -6.924}



{"formula": "Li2MnF4", "functional": "GGA+U", "state": "optimized geometry", "lattice": [[5.9724, 0.0000, 0.0000], [0.0000, 5.3858, 0.0000], [-2.3562, 0.0000, 4.9913]], "species": ["Li", "Li", "Li", "Li", "Mn", "Mn", "F", "F", "F", "F", "F", "F", "F", "F"], "fractional_positions": [[0.1530, 0.0344, 0.3776], [0.1530, 0.4656, 0.8776], [0.8470, 0.5344, 0.1224], [0.8470, 0.9656, 0.6224], [0.5000, 0.0000, 0.0000], [0.5000, 0.5000, 0.5000], [0.1511, 0.1482, 0.7204], [0.1511, 0.3518, 0.2204], [0.3742, 0.6580, 0.7762], [0.3742, 0.8420, 0.2762], [0.6258, 0.1580, 0.7238], [0.6258, 0.3420, 0.2238], [0.8489, 0.6482, 0.7796], [0.8489, 0.8518, 0.2796]], "energy_corrected_mp2020_ev_per_atom": -6.002, "relative_energy_kj_per_mol_atoms": 0.4, "formation_enthalpy_0k_kj_per_mol_fu": -2063, "dft_energy_ev_per_atom": -5.500}



{"formula": "BaLaMnMoO6", "functional": "GGA+U", "state": "optimized geometry", "lattice": [[0.0000, 4.1088, 4.1088], [4.1088, 0.0000, 4.1088], [4.1088, 4.1088, 0.0000]], "species": ["Ba", "La", "Mn", "Mo", "O", "O", "O", "O", "O", "O"], "fractional_positions": [[0.0000, 0.0000, 0.0000], [0.5000, 0.5000, 0.5000], [0.2500, 0.2500, 0.2500], [0.7500, 0.7500, 0.7500], [0.5083, 0.5083, 0.9917], [0.5083, 0.9917, 0.5083], [0.5083, 0.9917, 0.9917], [0.9917, 0.5083, 0.5083], [0.9917, 0.5083, 0.9917], [0.9917, 0.9917, 0.5083]], "energy_corrected_mp2020_ev_per_atom": -8.299, "formation_enthalpy_0k_kj_per_mol_fu": -2551, "dft_energy_ev_per_atom": -7.400}



{"formula": "Li9Mn2Co5O16", "functional": "GGA+U", "state": "optimized geometry", "lattice": [[5.0052, 0.0000, 0.0000], [-0.2171, 5.8089, 0.0000], [-1.6206, -2.6465, 9.5798]], "species": ["Li", "Li", "Li", "Li", "Li", "Li", "Li", "Li", "Li", "Mn", "Mn", "Co", "Co", "Co", "Co", "Co", "O", "O", "O", "O", "O", "O", "O", "O", "O", "O", "O", "O", "O", "O", "O", "O"], "fractional_positions": [[0.0000, 0.0000, 0.0000], [0.2408, 0.8847, 0.7612], [0.2481, 0.8770, 0.2480], [0.2507, 0.3701, 0.2495], [0.2539, 0.3842, 0.7569], [0.7461, 0.6158, 0.2431], [0.7493, 0.6299, 0.7505], [0.7519, 0.1230, 0.7520], [0.7592, 0.1153, 0.2388], [0.0000, 0.0000, 0.5000], [0.0000, 0.5000, 0.5000], [0.0000, 0.5000, 0.0000], [0.4943, 0.2444, 0.9992], [0.5001, 0.2497, 0.4997], [0.4999, 0.7503, 0.5003], [0.5057, 0.7556, 0.0008], [0.1403, 0.1708, 0.3797], [0.1408, 0.6717, 0.3807], [0.1424, 0.6837, 0.8900], [0.1541, 0.1992, 0.8874], [0.3763, 0.0472, 0.6085], [0.3761, 0.5463, 0.6087], [0.3830, 0.5463, 0.1085], [0.3984, 0.0532, 0.1094], [0.6016, 0.9468, 0.8906], [0.6170, 0.4537, 0.8915], [0.6239, 0.4537, 0.3913], [0.6237, 0.9528, 0.3915], [0.8459, 0.8008, 0.1126], [0.8576, 0.3163, 0.1100], [0.8592, 0.3283, 0.6193], [0.8597, 0.8292, 0.6203]], "energy_corrected_mp2020_ev_per_atom": -6.524, "relative_energy_kj_per_mol_atoms": 3.3, "formation_enthalpy_0k_kj_per_mol_fu": -5650, "dft_energy_ev_per_atom": -5.821}



{"formula": "CaMn2F10", "functional": "GGA+U", "state": "optimized geometry", "lattice": [[4.4924, -3.2594, 0.0000], [4.4924, 3.2594, 0.0000], [-3.1164, 0.0000, 6.7135]], "species": ["Ca", "Mn", "Mn", "F", "F", "F", "F", "F", "F", "F", "F", "F", "F"], "fractional_positions": [[0.0000, 0.0000, 0.0000], [0.5341, 0.4592, 0.7449], [0.5408, 0.4659, 0.2551], [0.2521, 0.7262, 0.7927], [0.2738, 0.7479, 0.2073], [0.2976, 0.2542, 0.1336], [0.3339, 0.2276, 0.6354], [0.4662, 0.5338, 0.5000], [0.6100, 0.3900, 0.0000], [0.7458, 0.7024, 0.8664], [0.7724, 0.6661, 0.3646], [0.8029, 0.1741, 0.2780], [0.8259, 0.1971, 0.7220]], "energy_corrected_mp2020_ev_per_atom": -5.891, "formation_enthalpy_0k_kj_per_mol_fu": -3580, "dft_energy_ev_per_atom": -5.279}



{"formula": "Sr3Co2O6", "functional": "GGA+U", "state": "optimized geometry", "lattice": [[6.6106, 0.0000, 0.0000], [-0.3406, 6.6828, 0.0000], [-0.3278, -0.3509, 6.6850]], "species": ["Sr", "Sr", "Sr", "Sr", "Sr", "Sr", "Co", "Co", "Co", "Co", "O", "O", "O", "O", "O", "O", "O", "O", "O", "O", "O", "O"], "fractional_positions": [[0.0000, 0.0000, 0.0000], [0.1325, 0.5004, 0.8653], [0.3627, 0.2682, 0.3646], [0.4972, 0.7688, 0.2310], [0.6344, 0.6362, 0.7334], [0.8647, 0.1351, 0.4999], [0.2504, 0.8819, 0.6171], [0.4975, 0.1352, 0.8617], [0.7472, 0.3807, 0.1190], [0.9946, 0.6431, 0.3567], [0.0243, 0.3468, 0.2044], [0.1575, 0.9265, 0.3304], [0.2134, 0.1638, 0.7045], [0.2871, 0.6063, 0.5288], [0.3402, 0.8414, 0.9004], [0.4722, 0.4225, 0.0306], [0.5271, 0.9691, 0.5764], [0.6571, 0.1005, 0.1587], [0.7093, 0.4711, 0.3959], [0.7851, 0.2935, 0.8380], [0.8413, 0.6707, 0.0734], [0.9732, 0.7961, 0.6518]], "energy_corrected_mp2020_ev_per_atom": -6.756, "relative_energy_kj_per_mol_atoms": 1.7, "formation_enthalpy_0k_kj_per_mol_fu": -2445, "dft_energy_ev_per_atom": -6.084}



{"formula": "K4Zr3MnP6O24", "functional": "GGA+U", "state": "optimized geometry", "lattice": [[10.3766, 0.0000, 0.0000], [0.0000, 10.3650, 0.0000], [-0.0065, 0.0000, 10.3810]], "species": ["K", "K", "K", "K", "K", "K", "K", "K", "Zr", "Zr", "Zr", "Zr", "Zr", "Zr", "Mn", "Mn", "P", "P", "P", "P", "P", "P", "P", "P", "P", "P", "P", "P", "O", "O", "O", "O", "O", "O", "O", "O", "O", "O", "O", "O", "O", "O", "O", "O", "O", "O", "O", "O", "O", "O", "O", "O", "O", "O", "O", "O", "O", "O", "O", "O", "O", "O", "O", "O", "O", "O", "O", "O", "O", "O", "O", "O", "O", "O", "O", "O"], "fractional_positions": [[0.0432, 0.0000, 0.1911], [0.1778, 0.2692, 0.5711], [0.3100, 0.6368, 0.0615], [0.4439, 0.9013, 0.7093], [0.5561, 0.4013, 0.2907], [0.6900, 0.1368, 0.9385], [0.8222, 0.7692, 0.4289], [0.9568, 0.5000, 0.8089], [0.1612, 0.6139, 0.4136], [0.3322, 0.2848, 0.9151], [0.3935, 0.0565, 0.3536], [0.6065, 0.5565, 0.6464], [0.6678, 0.7848, 0.0849], [0.8388, 0.1139, 0.5864], [0.1006, 0.8486, 0.8552], [0.8994, 0.3486, 0.1448], [0.0172, 0.1614, 0.8772], [0.1270, 0.9315, 0.5404], [0.2097, 0.3249, 0.2319], [0.2866, 0.5748, 0.7302], [0.3770, 0.9691, 0.0366], [0.4801, 0.7385, 0.3734], [0.5199, 0.2385, 0.6266], [0.6230, 0.4691, 0.9634], [0.7134, 0.0748, 0.2698], [0.7903, 0.8249, 0.7681], [0.8730, 0.4315, 0.4596], [0.9828, 0.6614, 0.1228], [0.0021, 0.5066, 0.4800], [0.0126, 0.0223, 0.9240], [0.0494, 0.7547, 0.0317], [0.0534, 0.6751, 0.2575], [0.0731, 0.2738, 0.2397], [0.1034, 0.7909, 0.4932], [0.1606, 0.2058, 0.8516], [0.1773, 0.9386, 0.6771], [0.2040, 0.6739, 0.7981], [0.2253, 0.9973, 0.4463], [0.2292, 0.4534, 0.3078], [0.2448, 0.5506, 0.5880], [0.2564, 0.3482, 0.0912], [0.2737, 0.4434, 0.8026], [0.2791, 0.9016, 0.9523], [0.3048, 0.2270, 0.2972], [0.3342, 0.9690, 0.1814], [0.3396, 0.6944, 0.3513], [0.4008, 0.1118, 0.9953], [0.4316, 0.6165, 0.7298], [0.4430, 0.2206, 0.7528], [0.4532, 0.1528, 0.5240], [0.4826, 0.8808, 0.4191], [0.4922, 0.3962, 0.9752], [0.5078, 0.8962, 0.0248], [0.5174, 0.3808, 0.5809], [0.5468, 0.6528, 0.4760], [0.5570, 0.7206, 0.2472], [0.5684, 0.1165, 0.2702], [0.5992, 0.6118, 0.0047], [0.6604, 0.1944, 0.6487], [0.6658, 0.4690, 0.8186], [0.6952, 0.7270, 0.7028], [0.7209, 0.4016, 0.0477], [0.7263, 0.9434, 0.1974], [0.7436, 0.8482, 0.9088], [0.7552, 0.0506, 0.4120], [0.7708, 0.9534, 0.6922], [0.7747, 0.4973, 0.5537], [0.7960, 0.1739, 0.2019], [0.8227, 0.4386, 0.3229], [0.8394, 0.7058, 0.1484], [0.8966, 0.2909, 0.5068], [0.9269, 0.7738, 0.7603], [0.9466, 0.1751, 0.7425], [0.9506, 0.2547, 0.9683], [0.9874, 0.5223, 0.0761], [0.9979, 0.0066, 0.5200]], "energy_corrected_mp2020_ev_per_atom": -7.968, "formation_enthalpy_0k_kj_per_mol_fu": -10834, "dft_energy_ev_per_atom": -7.490}